The following is a r2SCAN calculation of an optimized crystal structure of Sc5Ge4, from the Materials Project. Values from VASP.

```
&SYSTEM
  ibrav = 0, nat = 36, ntyp = 2
/
ATOMIC_SPECIES
Sc 44.96 Sc.upf
Ge 72.64 Ge.upf
CELL_PARAMETERS angstrom
7.174 0.000 0.000
0.000 13.786 0.000
0.000 0.000 7.233
ATOMIC_POSITIONS crystal
Sc 0.032 0.100 0.176
Sc 0.032 0.400 0.176
Sc 0.121 0.619 0.339
Sc 0.121 0.881 0.339
Sc 0.213 0.250 0.503
Sc 0.287 0.750 0.003
Sc 0.379 0.119 0.839
Sc 0.379 0.381 0.839
Sc 0.468 0.600 0.676
Sc 0.468 0.900 0.676
Sc 0.532 0.100 0.324
Sc 0.532 0.400 0.324
Sc 0.621 0.619 0.161
Sc 0.621 0.881 0.161
Sc 0.713 0.250 0.997
Sc 0.787 0.750 0.497
Sc 0.879 0.119 0.661
Sc 0.879 0.381 0.661
Sc 0.968 0.600 0.824
Sc 0.968 0.900 0.824
Ge 0.080 0.250 0.881
Ge 0.160 0.750 0.641
Ge 0.219 0.043 0.532
Ge 0.219 0.457 0.532
Ge 0.281 0.543 0.032
Ge 0.281 0.957 0.032
Ge 0.340 0.250 0.141
Ge 0.420 0.750 0.381
Ge 0.580 0.250 0.619
Ge 0.660 0.750 0.859
Ge 0.719 0.043 0.968
Ge 0.719 0.457 0.968
Ge 0.781 0.543 0.468
Ge 0.781 0.957 0.468
Ge 0.840 0.250 0.359
Ge 0.920 0.750 0.119
```

Results
Space group: Pnma (62)
Energy of formation (eV per atom): -0.919

The following is a r2SCAN calculation of an optimized crystal structure of HgPPt5, from the Materials Project. Values from VASP.

```
&SYSTEM
  ibrav = 0, nat = 7, ntyp = 3
/
ATOMIC_SPECIES
Hg 200.59 Hg.upf
P 30.97 P.upf
Pt 195.08 Pt.upf
CELL_PARAMETERS angstrom
3.939 0.000 0.000
0.000 3.939 0.000
0.000 0.000 7.210
ATOMIC_POSITIONS crystal
Hg 0.000 0.000 0.000
P 0.500 0.500 0.500
Pt 0.000 0.500 0.303
Pt 0.000 0.500 0.697
Pt 0.500 0.000 0.303
Pt 0.500 0.000 0.697
Pt 0.500 0.500 0.000
```

Results
Space group: P4/mmm (123)
Energy of formation (eV per atom): -0.241

The following is a r2SCAN calculation of an optimized crystal structure of ErSe, from the Materials Project. Values from VASP.

```
&SYSTEM
  ibrav = 0, nat = 8, ntyp = 2
/
ATOMIC_SPECIES
Er 167.26 Er.upf
Se 78.96 Se.upf
CELL_PARAMETERS angstrom
5.675 0.000 0.000
0.000 5.675 0.000
0.000 0.000 5.675
ATOMIC_POSITIONS crystal
Er 0.000 0.000 0.000
Er 0.000 0.500 0.500
Er 0.500 0.000 0.500
Er 0.500 0.500 0.000
Se 0.000 0.000 0.500
Se 0.000 0.500 0.000
Se 0.500 0.000 0.000
Se 0.500 0.500 0.500
```

Results
Space group: Fm-3m (225)
Energy of formation (eV per atom): -1.925

The following is a r2SCAN calculation of an optimized crystal structure of K2MoSeO6, from the Materials Project. Values from VASP.

```
&SYSTEM
  ibrav = 0, nat = 40, ntyp = 4
/
ATOMIC_SPECIES
K 39.10 K.upf
Mo 95.94 Mo.upf
Se 78.96 Se.upf
O 16.00 O.upf
CELL_PARAMETERS angstrom
6.078 0.000 0.000
0.000 15.315 0.000
-2.839 0.000 7.003
ATOMIC_POSITIONS crystal
K 0.109 0.055 0.314
K 0.109 0.445 0.814
K 0.356 0.698 0.111
K 0.356 0.802 0.611
K 0.644 0.198 0.389
K 0.644 0.302 0.889
K 0.891 0.555 0.186
K 0.891 0.945 0.686
Mo 0.465 0.063 0.815
Mo 0.465 0.437 0.315
Mo 0.535 0.563 0.685
Mo 0.535 0.937 0.185
Se 0.098 0.173 0.880
Se 0.098 0.327 0.380
Se 0.902 0.673 0.620
Se 0.902 0.827 0.120
O 0.051 0.229 0.278
O 0.051 0.271 0.778
O 0.104 0.105 0.697
O 0.104 0.395 0.197
O 0.287 0.519 0.492
O 0.287 0.981 0.992
O 0.375 0.522 0.151
O 0.375 0.978 0.651
O 0.406 0.164 0.994
O 0.406 0.336 0.494
O 0.409 0.637 0.793
O 0.409 0.863 0.293
O 0.591 0.137 0.707
O 0.591 0.363 0.207
O 0.594 0.664 0.506
O 0.594 0.836 0.006
O 0.625 0.022 0.349
O 0.625 0.478 0.849
O 0.713 0.019 0.008
O 0.713 0.481 0.508
O 0.896 0.605 0.803
O 0.896 0.895 0.303
O 0.949 0.729 0.222
O 0.949 0.771 0.722
```

Results
Space group: P2_1/c (14)
Energy of formation (eV per atom): -1.872

The following is a r2SCAN calculation of an optimized crystal structure of CaMg5C6O18, from the Materials Project. Values from VASP.

```
&SYSTEM
  ibrav = 0, nat = 30, ntyp = 4
/
ATOMIC_SPECIES
Ca 40.08 Ca.upf
Mg 24.30 Mg.upf
C 12.01 C.upf
O 16.00 O.upf
CELL_PARAMETERS angstrom
4.694 0.000 0.000
-2.347 4.065 0.000
0.000 0.000 15.283
ATOMIC_POSITIONS crystal
Ca 0.000 0.000 0.000
Mg 0.000 0.000 0.500
Mg 0.333 0.667 0.339
Mg 0.333 0.667 0.821
Mg 0.667 0.333 0.179
Mg 0.667 0.333 0.661
C 0.000 0.000 0.258
C 0.000 0.000 0.742
C 0.333 0.667 0.097
C 0.333 0.667 0.581
C 0.667 0.333 0.419
C 0.667 0.333 0.903
O 0.002 0.276 0.258
O 0.044 0.633 0.096
O 0.058 0.392 0.581
O 0.274 0.998 0.258
O 0.276 0.274 0.742
O 0.333 0.942 0.581
O 0.367 0.411 0.096
O 0.392 0.333 0.419
O 0.411 0.044 0.904
O 0.589 0.956 0.096
O 0.608 0.667 0.581
O 0.633 0.589 0.904
O 0.667 0.058 0.419
O 0.724 0.726 0.258
O 0.726 0.002 0.742
O 0.942 0.608 0.419
O 0.956 0.367 0.904
O 0.998 0.724 0.742
```

Results
Excess energy over the best structure of this formula in the dataset (meV per atom): 0.0
Space group: P-3 (147)
Energy of formation (eV per atom): -2.235

The following is a r2SCAN calculation of an optimized crystal structure of Pr3Se4, from the Materials Project. Values from VASP.

```
&SYSTEM
  ibrav = 0, nat = 14, ntyp = 2
/
ATOMIC_SPECIES
Pr 140.91 Pr.upf
Se 78.96 Se.upf
CELL_PARAMETERS angstrom
-4.504 4.504 4.504
4.504 -4.504 4.504
4.504 4.504 -4.504
ATOMIC_POSITIONS crystal
Pr 0.125 0.750 0.875
Pr 0.250 0.625 0.375
Pr 0.375 0.250 0.625
Pr 0.625 0.375 0.250
Pr 0.750 0.875 0.125
Pr 0.875 0.125 0.750
Se 0.000 0.352 0.500
Se 0.000 0.852 0.500
Se 0.148 0.148 0.148
Se 0.352 0.500 0.000
Se 0.500 0.000 0.352
Se 0.500 0.000 0.852
Se 0.648 0.648 0.648
Se 0.852 0.500 0.000
```

Results
Space group: I-43d (220)
Energy of formation (eV per atom): -2.149

The following is a r2SCAN calculation of an optimized crystal structure of NdEr3, from the Materials Project. Values from VASP.

```
&SYSTEM
  ibrav = 0, nat = 8, ntyp = 2
/
ATOMIC_SPECIES
Nd 144.24 Nd.upf
Er 167.26 Er.upf
CELL_PARAMETERS angstrom
7.217 0.000 0.000
-3.609 6.250 0.000
0.000 0.000 5.766
ATOMIC_POSITIONS crystal
Nd 0.333 0.667 0.250
Nd 0.667 0.333 0.750
Er 0.164 0.329 0.750
Er 0.164 0.836 0.750
Er 0.329 0.164 0.250
Er 0.671 0.836 0.750
Er 0.836 0.164 0.250
Er 0.836 0.671 0.250
```

Results
Excess energy over the best structure of this formula in the dataset (meV per atom): 0.0
Space group: P6_3/mmc (194)
Energy of formation (eV per atom): 0.012

The following is a r2SCAN calculation of an optimized crystal structure of Tm4InRh, from the Materials Project. Values from VASP.

```
&SYSTEM
  ibrav = 0, nat = 24, ntyp = 3
/
ATOMIC_SPECIES
Tm 168.93 Tm.upf
In 114.82 In.upf
Rh 102.91 Rh.upf
CELL_PARAMETERS angstrom
0.000 6.699 6.699
6.699 0.000 6.699
6.699 6.699 0.000
ATOMIC_POSITIONS crystal
Tm 0.048 0.651 0.651
Tm 0.061 0.061 0.439
Tm 0.061 0.439 0.061
Tm 0.061 0.439 0.439
Tm 0.189 0.189 0.811
Tm 0.189 0.811 0.189
Tm 0.189 0.811 0.811
Tm 0.439 0.061 0.061
Tm 0.439 0.061 0.439
Tm 0.439 0.439 0.061
Tm 0.651 0.048 0.651
Tm 0.651 0.651 0.048
Tm 0.651 0.651 0.651
Tm 0.811 0.189 0.189
Tm 0.811 0.189 0.811
Tm 0.811 0.811 0.189
In 0.417 0.417 0.417
In 0.417 0.417 0.750
In 0.417 0.750 0.417
In 0.750 0.417 0.417
Rh 0.427 0.858 0.858
Rh 0.858 0.427 0.858
Rh 0.858 0.858 0.427
Rh 0.858 0.858 0.858
```

Results
Space group: F-43m (216)
Energy of formation (eV per atom): -0.660

The following is a r2SCAN calculation of an optimized crystal structure of Li3In2, from the Materials Project. Values from VASP.

```
&SYSTEM
  ibrav = 0, nat = 15, ntyp = 2
/
ATOMIC_SPECIES
Li 6.94 Li.upf
In 114.82 In.upf
CELL_PARAMETERS angstrom
4.729 0.000 0.000
-2.364 4.095 0.000
0.000 0.000 14.601
ATOMIC_POSITIONS crystal
Li 0.000 0.000 0.000
Li 0.000 0.000 0.404
Li 0.000 0.000 0.596
Li 0.333 0.667 0.071
Li 0.333 0.667 0.262
Li 0.333 0.667 0.667
Li 0.667 0.333 0.333
Li 0.667 0.333 0.738
Li 0.667 0.333 0.929
In 0.000 0.000 0.207
In 0.000 0.000 0.793
In 0.333 0.667 0.460
In 0.333 0.667 0.874
In 0.667 0.333 0.126
In 0.667 0.333 0.540
```

Results
Space group: R-3m (166)
Energy of formation (eV per atom): -0.389

The following is a r2SCAN calculation of an optimized crystal structure of SrNi12B6, from the Materials Project. Values from VASP.

```
&SYSTEM
  ibrav = 0, nat = 19, ntyp = 3
/
ATOMIC_SPECIES
Sr 87.62 Sr.upf
Ni 58.69 Ni.upf
B 10.81 B.upf
CELL_PARAMETERS angstrom
4.757 2.747 2.457
-4.757 2.747 2.457
0.000 -5.493 2.457
ATOMIC_POSITIONS crystal
Sr 0.000 0.000 0.000
Ni 0.132 0.500 0.868
Ni 0.132 0.868 0.500
Ni 0.188 0.462 0.462
Ni 0.462 0.188 0.462
Ni 0.462 0.462 0.188
Ni 0.500 0.132 0.868
Ni 0.500 0.868 0.132
Ni 0.538 0.538 0.812
Ni 0.538 0.812 0.538
Ni 0.812 0.538 0.538
Ni 0.868 0.132 0.500
Ni 0.868 0.500 0.132
B 0.233 0.233 0.657
B 0.233 0.657 0.233
B 0.343 0.767 0.767
B 0.657 0.233 0.233
B 0.767 0.343 0.767
B 0.767 0.767 0.343
```

Results
Space group: R-3m (166)
Energy of formation (eV per atom): -0.343

The following is a r2SCAN calculation of an optimized crystal structure of LiCoO2, from the Materials Project. Values from VASP.

```
&SYSTEM
  ibrav = 0, nat = 16, ntyp = 3
/
ATOMIC_SPECIES
Li 6.94 Li.upf
Co 58.93 Co.upf
O 16.00 O.upf
CELL_PARAMETERS angstrom
0.000 3.982 3.986
3.979 0.000 3.986
3.979 3.982 0.000
ATOMIC_POSITIONS crystal
Li 0.000 0.000 0.000
Li 0.000 0.000 0.500
Li 0.000 0.500 0.000
Li 0.500 0.000 0.000
Co 0.000 0.500 0.500
Co 0.500 0.000 0.500
Co 0.500 0.500 0.000
Co 0.500 0.500 0.500
O 0.259 0.721 0.260
O 0.260 0.260 0.259
O 0.260 0.260 0.721
O 0.279 0.741 0.740
O 0.721 0.259 0.260
O 0.740 0.740 0.279
O 0.740 0.740 0.741
O 0.741 0.279 0.740
```

Results
Space group: Fddd (70)
Energy of formation (eV per atom): -1.771

The following is a r2SCAN calculation of an optimized crystal structure of TbNi, from the Materials Project. Values from VASP.

```
&SYSTEM
  ibrav = 0, nat = 24, ntyp = 2
/
ATOMIC_SPECIES
Tb 158.93 Tb.upf
Ni 58.69 Ni.upf
CELL_PARAMETERS angstrom
20.935 0.000 0.000
0.000 4.217 0.000
0.000 0.000 5.381
ATOMIC_POSITIONS crystal
Tb 0.060 0.250 0.134
Tb 0.106 0.750 0.623
Tb 0.227 0.250 0.891
Tb 0.273 0.750 0.391
Tb 0.394 0.250 0.123
Tb 0.440 0.750 0.634
Tb 0.560 0.250 0.366
Tb 0.606 0.750 0.877
Tb 0.727 0.250 0.609
Tb 0.773 0.750 0.109
Tb 0.894 0.250 0.377
Tb 0.940 0.750 0.866
Ni 0.012 0.250 0.627
Ni 0.155 0.750 0.132
Ni 0.178 0.250 0.381
Ni 0.322 0.750 0.881
Ni 0.345 0.250 0.632
Ni 0.488 0.750 0.127
Ni 0.512 0.250 0.873
Ni 0.655 0.750 0.368
Ni 0.678 0.250 0.119
Ni 0.822 0.750 0.619
Ni 0.845 0.250 0.868
Ni 0.988 0.750 0.373
```

Results
Space group: Pnma (62)
Energy of formation (eV per atom): -0.406

The following is a r2SCAN calculation of an optimized crystal structure of Li2CoCl4, from the Materials Project. Values from VASP.

```
&SYSTEM
  ibrav = 0, nat = 14, ntyp = 3
/
ATOMIC_SPECIES
Li 6.94 Li.upf
Co 58.93 Co.upf
Cl 35.45 Cl.upf
CELL_PARAMETERS angstrom
7.238 0.000 0.000
0.000 9.831 0.000
0.000 0.000 3.589
ATOMIC_POSITIONS crystal
Li 0.250 0.250 0.000
Li 0.250 0.750 0.000
Li 0.750 0.250 0.000
Li 0.750 0.750 0.000
Co 0.000 0.000 0.500
Co 0.500 0.500 0.500
Cl 0.000 0.234 0.500
Cl 0.000 0.766 0.500
Cl 0.229 0.000 0.000
Cl 0.271 0.500 0.000
Cl 0.500 0.266 0.500
Cl 0.500 0.734 0.500
Cl 0.729 0.500 0.000
Cl 0.771 0.000 0.000
```

Results
Space group: Cmmm (65)
Energy of formation (eV per atom): -1.465

The following is a r2SCAN calculation of an optimized crystal structure of KO2, from the Materials Project. Values from VASP.

```
&SYSTEM
  ibrav = 0, nat = 12, ntyp = 2
/
ATOMIC_SPECIES
K 39.10 K.upf
O 16.00 O.upf
CELL_PARAMETERS angstrom
4.337 0.000 0.000
-0.347 5.473 0.000
-1.736 -0.651 8.463
ATOMIC_POSITIONS crystal
K 0.247 0.251 0.375
K 0.250 0.249 0.876
K 0.750 0.751 0.124
K 0.753 0.749 0.625
O 0.151 0.749 0.925
O 0.152 0.751 0.424
O 0.351 0.748 0.825
O 0.352 0.752 0.324
O 0.648 0.248 0.676
O 0.649 0.252 0.175
O 0.848 0.249 0.576
O 0.849 0.251 0.075
```

Results
Excess energy over the best structure of this formula in the dataset (meV per atom): 0.0
Space group: P-1 (2)
Energy of formation (eV per atom): -0.954

The following is a r2SCAN calculation of an optimized crystal structure of Al2NiO4, from the Materials Project. Values from VASP.

```
&SYSTEM
  ibrav = 0, nat = 28, ntyp = 3
/
ATOMIC_SPECIES
Al 26.98 Al.upf
Ni 58.69 Ni.upf
O 16.00 O.upf
CELL_PARAMETERS angstrom
5.661 0.000 0.000
2.830 4.905 0.000
2.812 1.617 9.483
ATOMIC_POSITIONS crystal
Al 0.000 0.000 0.000
Al 0.250 0.249 0.750
Al 0.250 0.749 0.750
Al 0.250 0.751 0.250
Al 0.500 0.500 0.500
Al 0.750 0.249 0.750
Al 0.750 0.251 0.250
Al 0.750 0.751 0.250
Ni 0.186 0.187 0.444
Ni 0.315 0.315 0.056
Ni 0.685 0.685 0.944
Ni 0.814 0.813 0.556
O 0.104 0.659 0.132
O 0.105 0.106 0.132
O 0.117 0.114 0.650
O 0.158 0.603 0.632
O 0.342 0.894 0.868
O 0.384 0.382 0.850
O 0.395 0.397 0.367
O 0.395 0.843 0.368
O 0.605 0.157 0.632
O 0.605 0.603 0.633
O 0.616 0.618 0.150
O 0.658 0.106 0.132
O 0.842 0.397 0.368
O 0.883 0.886 0.350
O 0.895 0.894 0.868
O 0.896 0.341 0.868
```

Results
Excess energy over the best structure of this formula in the dataset (meV per atom): 49.8
Space group: P-1 (2)
Energy of formation (eV per atom): -2.676

The following is a r2SCAN calculation of an optimized crystal structure of PmSm3, from the Materials Project. Values from VASP.

```
&SYSTEM
  ibrav = 0, nat = 8, ntyp = 2
/
ATOMIC_SPECIES
Pm 145.00 Pm.upf
Sm 150.36 Sm.upf
CELL_PARAMETERS angstrom
5.144 0.000 0.000
0.000 5.144 0.000
0.000 0.000 10.290
ATOMIC_POSITIONS crystal
Pm 0.000 0.000 0.000
Pm 0.500 0.500 0.500
Sm 0.000 0.000 0.500
Sm 0.000 0.500 0.250
Sm 0.000 0.500 0.750
Sm 0.500 0.000 0.250
Sm 0.500 0.000 0.750
Sm 0.500 0.500 0.000
```

Results
Excess energy over the best structure of this formula in the dataset (meV per atom): 0.0
Space group: I4/mmm (139)
Energy of formation (eV per atom): 0.021

The following is a r2SCAN calculation of an optimized crystal structure of Tb3Pm, from the Materials Project. Values from VASP.

```
&SYSTEM
  ibrav = 0, nat = 8, ntyp = 2
/
ATOMIC_SPECIES
Tb 158.93 Tb.upf
Pm 145.00 Pm.upf
CELL_PARAMETERS angstrom
5.076 0.000 0.000
0.000 5.076 0.000
0.000 0.000 10.140
ATOMIC_POSITIONS crystal
Tb 0.000 0.000 0.000
Tb 0.000 0.500 0.250
Tb 0.000 0.500 0.750
Tb 0.500 0.000 0.250
Tb 0.500 0.000 0.750
Tb 0.500 0.500 0.500
Pm 0.000 0.000 0.500
Pm 0.500 0.500 0.000
```

Results
Excess energy over the best structure of this formula in the dataset (meV per atom): 30.9
Space group: I4/mmm (139)
Energy of formation (eV per atom): 0.031

The following is a r2SCAN calculation of an optimized crystal structure of ZrS2, from the Materials Project. Values from VASP.

```
&SYSTEM
  ibrav = 0, nat = 3, ntyp = 2
/
ATOMIC_SPECIES
Zr 91.22 Zr.upf
S 32.06 S.upf
CELL_PARAMETERS angstrom
3.691 0.000 0.000
-1.846 3.197 0.000
0.000 0.000 6.041
ATOMIC_POSITIONS crystal
Zr 0.000 0.000 0.000
S 0.333 0.667 0.238
S 0.667 0.333 0.762
```

Results
Space group: P-3m1 (164)
Energy of formation (eV per atom): -1.781

Per-record energy, eV/atom: -13.416 -45.357 -26.044 -10.697 -8.738 -22.928 -32.787 -31.860 -10.852 -11.028 -8.663 -22.010 -7.553 -6.942 -9.724 -29.664 -30.774 -14.720